First-principles (meta-GGA r2SCAN) data for an optimized crystal structure of NaSmAu2, as listed in the Materials Project.

Properties
Formation enthalpy at 0 K: -0.661 eV/atom
Density: 10.6 g/cm³

Unit cell a=5.0136 b=5.0136 c=5.0136 alpha=60.00 beta=60.00 gamma=60.00
Closest atoms and distances in Å follow each position.
Element x y z (fractional)
Na (0.0000, 0.0000, 0.0000)  8 Au 3.07
Sm (0.5000, 0.5000, 0.5000)  8 Au 3.07
Au (0.2500, 0.2500, 0.2500)  4 Sm 3.07, 4 Na 3.07
Au (0.7500, 0.7500, 0.7500)  4 Sm 3.07, 4 Na 3.07